(1)
Na7Ca2Ta2Si3P3O24 after structural relaxation, computed with PBE.

## Properties
- space-group type = P1
- energy of formation from the pure elements (eV per formula unit) = -119.4

Cell lengths 9.264, 9.266, 22.582 Å; angles 89.93, 89.97, 60.11 degrees
Fractional positions:
Na  0.000  0.000  0.000
Na  0.000  0.332  0.833
Na  0.009  0.628  0.746
Na  0.025  0.955  0.312
Na  0.311  0.645  0.157
Na  0.314  0.363  0.663
Na  0.315  0.976  0.920
Na  0.317  0.985  0.393
Na  0.327  0.273  0.995
Na  0.358  0.630  0.480
Na  0.615  0.664  0.999
Na  0.626  0.679  0.315
Na  0.636  0.012  0.485
Na  0.657  0.297  0.077
Na  0.664  0.940  0.832
Na  0.666  0.312  0.568
Na  0.712  0.586  0.653
Na  0.929  0.982  0.652
Na  0.953  0.298  0.486
Na  0.976  0.313  0.155
Na  0.980  0.649  0.238
Ca  0.317  0.980  0.067
Ca  0.322  0.979  0.250
Ca  0.647  0.313  0.420
Ca  0.649  0.314  0.718
Ca  0.984  0.642  0.596
Ca  0.989  0.643  0.889
Ta  0.313  0.978  0.549
Ta  0.313  0.982  0.765
Ta  0.644  0.313  0.226
Ta  0.647  0.312  0.924
Ta  0.973  0.649  0.088
Ta  0.985  0.647  0.390
Si  0.034  0.261  0.657
Si  0.342  0.614  0.328
Si  0.354  0.309  0.818
Si  0.632  0.661  0.158
Si  0.683  0.947  0.984
Si  0.685  0.650  0.494
Si  0.979  0.344  0.985
Si  0.986  0.939  0.495
Si  0.998  0.979  0.158
P  0.271  0.346  0.492
P  0.285  0.638  0.989
P  0.313  0.298  0.154
P  0.319  0.701  0.657
P  0.594  0.977  0.657
P  0.638  0.611  0.821
P  0.658  0.006  0.329
P  0.946  0.321  0.327
P  0.947  0.025  0.821
O  0.008  0.416  0.926
O  0.011  0.806  0.437
O  0.027  0.437  0.666
O  0.056  0.042  0.100
O  0.117  0.173  0.314
O  0.123  0.015  0.822
O  0.123  0.924  0.213
O  0.131  0.157  0.995
O  0.146  0.147  0.716
O  0.147  0.148  0.599
O  0.147  0.450  0.439
O  0.156  0.620  0.331
O  0.160  0.690  0.662
O  0.162  0.481  0.146
O  0.164  0.451  0.823
O  0.168  0.941  0.494
O  0.182  0.669  0.935
O  0.196  0.612  0.045
O  0.205  0.439  0.550
O  0.263  0.220  0.203
O  0.272  0.174  0.492
O  0.313  0.799  0.319
O  0.319  0.801  0.600
O  0.320  0.781  0.999
O  0.320  0.805  0.712
O  0.354  0.204  0.095
O  0.355  0.121  0.820
O  0.436  0.314  0.757
O  0.438  0.542  0.389
O  0.449  0.310  0.483
O  0.459  0.467  0.983
O  0.459  0.484  0.272
O  0.467  0.320  0.171
O  0.472  0.786  0.820
O  0.476  0.531  0.652
O  0.486  0.288  0.876
O  0.492  0.976  0.714
O  0.492  0.977  0.601
O  0.500  0.978  0.997
O  0.504  0.835  0.495
O  0.515  0.723  0.101
O  0.516  0.971  0.319
O  0.566  0.766  0.218
O  0.606  0.135  0.652
O  0.624  0.509  0.876
O  0.647  0.083  0.389
O  0.647  0.499  0.487
O  0.663  0.465  0.170
O  0.663  0.514  0.764
O  0.673  0.117  0.279
O  0.682  0.132  0.982
O  0.754  0.853  0.924
O  0.764  0.821  0.663
O  0.784  0.643  0.828
O  0.788  0.621  0.554
O  0.793  0.670  0.436
O  0.794  0.349  0.982
O  0.810  0.137  0.175
O  0.819  0.337  0.275
O  0.821  0.831  0.038
O  0.826  0.626  0.145
O  0.831  0.832  0.328
O  0.835  0.125  0.487
O  0.846  0.149  0.875
O  0.856  0.272  0.649
O  0.859  0.102  0.763
O  0.881  0.297  0.385
O  0.942  0.494  0.328
O  0.964  0.855  0.828
O  0.964  0.864  0.555
O  0.965  0.473  0.042
O  0.983  0.810  0.142


(2)
CsGaH4 after structural relaxation, computed with PBE.

## Properties
- space-group type = Pnma
- energy of formation from the pure elements (eV per formula unit) = -1.9

Cell lengths 10.196, 6.105, 8.112 Å; angles 90.00, 90.00, 90.00 degrees
Fractional positions:
Cs  0.185  0.250  0.164
Cs  0.315  0.750  0.664
Cs  0.685  0.250  0.336
Cs  0.815  0.750  0.836
Ga  0.060  0.250  0.696
Ga  0.440  0.750  0.196
Ga  0.560  0.250  0.804
Ga  0.940  0.750  0.304
H  0.079  0.038  0.811
H  0.079  0.462  0.811
H  0.084  0.750  0.379
H  0.171  0.250  0.558
H  0.329  0.750  0.058
H  0.416  0.250  0.879
H  0.421  0.538  0.311
H  0.421  0.962  0.311
H  0.579  0.038  0.689
H  0.579  0.462  0.689
H  0.584  0.750  0.121
H  0.671  0.250  0.942
H  0.829  0.750  0.442
H  0.916  0.250  0.621
H  0.921  0.538  0.189
H  0.921  0.962  0.189


(3)
Mn3Si after structural relaxation, computed with PBE.

## Properties
- space-group type = P4/mmm
- energy of formation from the pure elements (eV per formula unit) = -0.8

Cell lengths 2.791, 2.791, 5.684 Å; angles 90.00, 90.00, 90.00 degrees
Fractional positions:
Mn  0.000  0.000  0.000
Mn  0.500  0.500  0.253
Mn  0.500  0.500  0.747
Si  0.000  0.000  0.500


(4)
Zr3Tl2Cu2S8 after structural relaxation, computed with PBE.

## Properties
- space-group type = C2/m
- energy of formation from the pure elements (eV per formula unit) = -20.5

Cell lengths 7.505, 7.505, 14.012 Å; angles 113.87, 113.87, 28.68 degrees
Fractional positions:
Zr  0.000  0.000  0.000
Zr  0.155  0.155  0.381
Zr  0.845  0.845  0.619
Tl  0.173  0.173  0.802
Tl  0.827  0.827  0.198
Cu  0.459  0.459  0.804
Cu  0.541  0.541  0.196
S  0.139  0.139  0.191
S  0.208  0.208  0.581
S  0.397  0.397  0.042
S  0.477  0.477  0.649
S  0.523  0.523  0.351
S  0.603  0.603  0.958
S  0.792  0.792  0.419
S  0.861  0.861  0.809


(5)
CsGaH6C2F2 after structural relaxation, computed with PBE.

## Properties
- space-group type = C2/c
- energy of formation from the pure elements (eV per formula unit) = -11.5

Cell lengths 11.626, 11.626, 8.332 Å; angles 110.65, 110.65, 50.37 degrees
Fractional positions:
Cs  0.048  0.296  0.263
Cs  0.296  0.048  0.763
Cs  0.704  0.952  0.237
Cs  0.952  0.704  0.737
Ga  0.149  0.604  0.280
Ga  0.396  0.851  0.220
Ga  0.604  0.149  0.780
Ga  0.851  0.396  0.720
H  0.138  0.811  0.541
H  0.189  0.862  0.959
H  0.195  0.372  0.045
H  0.265  0.717  0.073
H  0.283  0.735  0.427
H  0.315  0.631  0.570
H  0.316  0.354  0.720
H  0.330  0.403  0.062
H  0.354  0.316  0.220
H  0.369  0.685  0.930
H  0.372  0.195  0.545
H  0.403  0.330  0.562
H  0.597  0.670  0.438
H  0.628  0.805  0.455
H  0.631  0.315  0.070
H  0.646  0.684  0.780
H  0.670  0.597  0.938
H  0.684  0.646  0.280
H  0.685  0.369  0.430
H  0.717  0.265  0.573
H  0.735  0.283  0.927
H  0.805  0.628  0.955
H  0.811  0.138  0.041
H  0.862  0.189  0.459
C  0.229  0.706  0.475
C  0.270  0.403  0.137
C  0.294  0.771  0.025
C  0.403  0.270  0.637
C  0.597  0.730  0.363
C  0.706  0.229  0.975
C  0.730  0.597  0.863
C  0.771  0.294  0.525
F  0.001  0.260  0.878
F  0.016  0.605  0.363
F  0.260  0.001  0.378
F  0.395  0.984  0.137
F  0.605  0.016  0.863
F  0.740  0.999  0.622
F  0.984  0.395  0.637
F  0.999  0.740  0.122


(6)
ScCu3 after structural relaxation, computed with PBE.

## Properties
- space-group type = I4/mmm
- energy of formation from the pure elements (eV per formula unit) = -0.7

Cell lengths 3.945, 3.945, 7.233 Å; angles 90.00, 90.00, 90.00 degrees
Fractional positions:
Sc  0.000  0.000  0.000
Sc  0.500  0.500  0.500
Cu  0.000  0.000  0.500
Cu  0.000  0.500  0.250
Cu  0.000  0.500  0.750
Cu  0.500  0.000  0.250
Cu  0.500  0.000  0.750
Cu  0.500  0.500  0.000


(7)
MgFeCuS2 after structural relaxation, computed with PBE.

## Properties
- space-group type = Cm
- energy of formation from the pure elements (eV per formula unit) = -2.4
- energy relative to the lowest polymorph listed for this composition (meV/atom) = 160

Cell lengths 6.577, 3.798, 6.231 Å; angles 90.00, 90.09, 90.00 degrees
Fractional positions:
Mg  0.000  0.000  0.000
Mg  0.500  0.500  0.000
Fe  0.166  0.500  0.775
Fe  0.666  0.000  0.775
Cu  0.334  0.000  0.360
Cu  0.834  0.500  0.360
S  0.167  0.500  0.192
S  0.333  0.000  0.719
S  0.667  0.000  0.192
S  0.833  0.500  0.719


(8)
CdN after structural relaxation, computed with PBE.

## Properties
- space-group type = F-43m
- energy of formation from the pure elements (eV per formula unit) = 1.9
- energy relative to the lowest polymorph listed for this composition (meV/atom) = 82

Cell lengths 5.146, 5.146, 5.146 Å; angles 90.00, 90.00, 90.00 degrees
Fractional positions:
Cd  0.000  0.000  0.000
Cd  0.000  0.500  0.500
Cd  0.500  0.000  0.500
Cd  0.500  0.500  0.000
N  0.250  0.250  0.750
N  0.250  0.750  0.250
N  0.750  0.250  0.250
N  0.750  0.750  0.750


(9)
Na7Ti2Si5Sn2PO24 after structural relaxation, computed with PBE.

## Properties
- space-group type = P1
- energy of formation from the pure elements (eV per formula unit) = -115.1

Cell lengths 8.998, 9.005, 22.368 Å; angles 89.85, 89.82, 60.06 degrees
Fractional positions:
Na  0.000  0.000  0.000
Na  0.001  0.365  0.501
Na  0.034  0.664  0.417
Na  0.041  0.664  0.916
Na  0.065  0.336  0.834
Na  0.066  0.966  0.333
Na  0.331  0.334  0.333
Na  0.358  0.004  0.250
Na  0.360  0.993  0.750
Na  0.363  0.632  0.501
Na  0.364  0.366  0.000
Na  0.400  0.665  0.167
Na  0.402  0.298  0.667
Na  0.665  0.030  0.167
Na  0.666  0.664  0.668
Na  0.699  0.964  0.832
Na  0.700  0.697  0.333
Na  0.708  0.323  0.585
Na  0.709  0.330  0.083
Na  0.732  0.999  0.501
Na  0.733  0.631  0.000
Ti  0.023  0.669  0.565
Ti  0.024  0.670  0.064
Ti  0.028  0.671  0.269
Ti  0.034  0.657  0.768
Ti  0.691  0.341  0.936
Ti  0.704  0.326  0.732
Si  0.030  0.374  0.667
Si  0.032  0.955  0.167
Si  0.071  0.293  0.999
Si  0.073  0.996  0.501
Si  0.364  0.295  0.501
Si  0.364  0.705  0.001
Si  0.404  0.625  0.332
Si  0.407  0.339  0.833
Si  0.659  0.000  0.000
Si  0.659  0.706  0.501
Si  0.696  0.621  0.832
Si  0.700  0.039  0.332
Si  0.745  0.663  0.167
Si  0.747  0.956  0.668
Si  0.994  0.334  0.333
Sn  0.362  0.000  0.103
Sn  0.362  0.001  0.604
Sn  0.365  0.999  0.399
Sn  0.367  0.995  0.897
Sn  0.700  0.332  0.435
Sn  0.707  0.331  0.230
P  0.316  0.379  0.167
P  0.317  0.665  0.667
P  0.986  0.042  0.834
O  0.000  0.866  0.826
O  0.001  0.499  0.609
O  0.005  0.859  0.108
O  0.013  0.504  0.325
O  0.054  0.482  0.008
O  0.055  0.824  0.508
O  0.062  0.832  0.225
O  0.063  0.468  0.725
O  0.152  0.163  0.056
O  0.155  0.044  0.557
O  0.163  0.034  0.837
O  0.183  0.162  0.338
O  0.191  0.951  0.440
O  0.193  0.217  0.939
O  0.193  0.484  0.509
O  0.197  0.681  0.009
O  0.202  0.690  0.722
O  0.209  0.190  0.665
O  0.210  0.463  0.224
O  0.210  0.964  0.164
O  0.215  0.505  0.826
O  0.215  0.642  0.326
O  0.235  0.490  0.111
O  0.238  0.636  0.610
O  0.315  0.834  0.943
O  0.320  0.218  0.441
O  0.344  0.194  0.163
O  0.344  0.824  0.664
O  0.388  0.814  0.337
O  0.390  0.164  0.837
O  0.410  0.170  0.560
O  0.415  0.777  0.060
O  0.481  0.505  0.392
O  0.499  0.362  0.170
O  0.499  0.502  0.673
O  0.504  0.358  0.892
O  0.527  0.545  0.273
O  0.529  0.019  0.337
O  0.530  0.815  0.836
O  0.535  0.301  0.775
O  0.537  0.045  0.060
O  0.537  0.311  0.496
O  0.537  0.515  0.992
O  0.537  0.785  0.560
O  0.556  0.841  0.164
O  0.557  0.968  0.664
O  0.584  0.826  0.441
O  0.584  0.952  0.941
O  0.655  0.162  0.273
O  0.675  0.522  0.774
O  0.678  0.516  0.497
O  0.682  0.169  0.992
O  0.714  0.499  0.169
O  0.717  0.150  0.674
O  0.732  0.498  0.891
O  0.745  0.113  0.392
O  0.838  0.693  0.225
O  0.840  0.829  0.726
O  0.850  0.687  0.508
O  0.850  0.828  0.007
O  0.852  0.139  0.169
O  0.854  0.365  0.674
O  0.863  0.639  0.108
O  0.864  0.862  0.608
O  0.871  0.639  0.826
O  0.872  0.848  0.325
O  0.874  0.380  0.394
O  0.875  0.124  0.890
O  0.881  0.312  0.992
O  0.883  0.168  0.496
O  0.897  0.163  0.779
O  0.913  0.284  0.277


(10)
TmGaO3 after structural relaxation, computed with PBE.

## Properties
- space-group type = P6_3/mmc
- energy of formation from the pure elements (eV per formula unit) = -15.9

Cell lengths 3.494, 3.494, 11.704 Å; angles 90.00, 90.00, 120.00 degrees
Fractional positions:
Tm  0.000  0.000  0.000
Tm  0.000  0.000  0.500
Ga  0.333  0.667  0.250
Ga  0.667  0.333  0.750
O  0.000  0.000  0.250
O  0.000  0.000  0.750
O  0.333  0.667  0.086
O  0.333  0.667  0.414
O  0.667  0.333  0.586
O  0.667  0.333  0.914